Material: Li2MnSiO4
Method: DFT, PBE+U
State: relaxed

abc: 10.6156 5.4527 13.1873
angles: 90.00 90.00 90.00
Last column: nearest neighbours and their distance in Å.
Atoms (fractional coordinates):
Li1 0.0280 0.0310 0.0000  4 O 2.01-2.06
Li2 0.0472 0.5387 0.6181  4 O 1.98-2.12
Li3 0.2075 0.8510 0.8585  3 O 1.92-2.10
Li4 0.2126 0.3678 0.7603  4 O 1.96-2.07
Li5 0.2874 0.3678 0.2603  4 O 1.96-2.07
Li6 0.2925 0.8510 0.3585  3 O 1.92-2.10
Li7 0.4528 0.5387 0.1181  4 O 1.98-2.12
Li8 0.4720 0.0310 0.5000  4 O 2.01-2.06
Li9 0.5280 0.9690 0.0000  4 O 2.01-2.06
Li10 0.5472 0.4613 0.6181  4 O 1.98-2.12
Li11 0.7075 0.1490 0.8585  3 O 1.92-2.10
Li12 0.7126 0.6322 0.7603  4 O 1.96-2.07
Li13 0.7874 0.6322 0.2603  4 O 1.96-2.07
Li14 0.7925 0.1490 0.3585  3 O 1.92-2.10
Li15 0.9528 0.4613 0.1181  4 O 1.98-2.12
Li16 0.9720 0.9690 0.5000  4 O 2.01-2.06
Mn1 0.0358 0.9688 0.2481  4 O 2.07-2.09
Mn2 0.2064 0.5177 0.0038  4 O 2.00-2.11
Mn3 0.2936 0.5177 0.5038  4 O 2.00-2.11
Mn4 0.4642 0.9688 0.7481  4 O 2.07-2.09
Mn5 0.5358 0.0312 0.2481  4 O 2.07-2.09
Mn6 0.7064 0.4823 0.0038  4 O 2.00-2.11
Mn7 0.7936 0.4823 0.5038  4 O 2.00-2.11
Mn8 0.9642 0.0312 0.7481  4 O 2.07-2.09
Si1 0.0351 0.4781 0.3704  4 O 1.66
Si2 0.2109 0.0243 0.6236  4 O 1.64-1.66
Si3 0.2891 0.0243 0.1236  4 O 1.64-1.66
Si4 0.4649 0.4781 0.8704  4 O 1.66
Si5 0.5351 0.5219 0.3704  4 O 1.66
Si6 0.7109 0.9757 0.6236  4 O 1.64-1.66
Si7 0.7891 0.9757 0.1236  4 O 1.64-1.66
Si8 0.9649 0.5219 0.8704  4 O 1.66
O1 0.0109 0.8133 0.8727  1 Si 1.66
O2 0.0230 0.3945 0.7660  1 Si 1.66
O3 0.0273 0.3930 0.9725  1 Si 1.66
O4 0.0703 0.8981 0.6270  1 Si 1.64
O5 0.1901 0.5248 0.3687  1 Si 1.66
O6 0.1955 0.3221 0.6050  1 Si 1.65
O7 0.1982 0.8948 0.0373  1 Si 1.65
O8 0.2288 0.0124 0.2400  1 Si 1.66
O9 0.2712 0.0124 0.7400  1 Si 1.66
O10 0.3018 0.8948 0.5373  1 Si 1.65
O11 0.3045 0.3221 0.1050  1 Si 1.65
O12 0.3099 0.5248 0.8687  1 Si 1.66
O13 0.4297 0.8981 0.1270  1 Si 1.64
O14 0.4727 0.3930 0.4725  1 Si 1.66
O15 0.4770 0.3945 0.2660  1 Si 1.66
O16 0.4891 0.8133 0.3727  1 Si 1.66
O17 0.5109 0.1867 0.8727  1 Si 1.66
O18 0.5230 0.6055 0.7660  1 Si 1.66
O19 0.5273 0.6070 0.9725  1 Si 1.66
O20 0.5703 0.1019 0.6270  1 Si 1.64
O21 0.6901 0.4752 0.3687  1 Si 1.66
O22 0.6955 0.6779 0.6050  1 Si 1.65
O23 0.6982 0.1052 0.0373  1 Si 1.65
O24 0.7288 0.9876 0.2400  1 Si 1.66
O25 0.7712 0.9876 0.7400  1 Si 1.66
O26 0.8018 0.1052 0.5373  1 Si 1.65
O27 0.8045 0.6779 0.1050  1 Si 1.65
O28 0.8099 0.4752 0.8687  1 Si 1.66
O29 0.9297 0.1019 0.1270  1 Si 1.64
O30 0.9727 0.6070 0.4725  1 Si 1.66
O31 0.9770 0.6055 0.2660  1 Si 1.66
O32 0.9891 0.1867 0.3727  1 Si 1.66

Summary:
The final energy is -6.86 eV per atom. The energy above the most stable polymorph in this dataset is 0.055 eV per atom. The space group is Pca2_1, No. 29. Its energy with MP2020 corrections is -474.25 eV/cell. The value obtained for the formation energy is -21.08 eV/f.u.



Material: MgCr3S6O24
Method: DFT, PBE+U
State: relaxed

abc: 8.3368 8.3670 8.9953
angles: 62.36 63.15 60.36
Last column: nearest neighbours and their distance in Å.
Atoms (fractional coordinates):
Mg1 0.0000 0.0000 0.0000  4 O 1.93-2.15
Cr1 0.1762 0.5123 0.3007  6 O 1.99-2.07
Cr2 0.4679 0.8012 0.4241  6 O 1.96-2.02
Cr3 0.6750 0.0116 0.8136  6 O 2.00-2.07
S1 0.0723 0.1118 0.6019  4 O 1.47-1.49
S2 0.3029 0.8938 0.1077  4 O 1.46-1.54
S3 0.3658 0.4088 0.6073  4 O 1.46-1.51
S4 0.5474 0.1998 0.1168  4 O 1.47-1.50
S5 0.7898 0.7036 0.6030  4 O 1.45-1.51
S6 0.8605 0.6423 0.1100  4 O 1.42-1.57
O1 0.0572 0.5521 0.1321  1 S 1.49
O2 0.1069 0.2759 0.4460  1 S 1.47
O3 0.1096 0.1065 0.7497  1 S 1.47
O4 0.1586 0.0873 0.0627  1 S 1.46
O5 0.1795 0.4617 0.7361  1 S 1.46
O6 0.1972 0.9247 0.5638  1 S 1.49
O7 0.2165 0.7639 0.1143  1 S 1.54
O8 0.3253 0.8246 0.2826  1 S 1.47
O9 0.3504 0.4385 0.4367  1 S 1.49
O10 0.4225 0.3960 0.1300  1 S 1.47
O11 0.4675 0.5349 0.5747  1 S 1.51
O12 0.4705 0.0619 0.2791  1 S 1.48
O13 0.4922 0.8671 0.9714  1 S 1.48
O14 0.4942 0.2036 0.6633  1 S 1.49
O15 0.5371 0.1910 0.9591  1 S 1.50
O16 0.5943 0.7953 0.5725  1 S 1.51
O17 0.7236 0.6768 0.2801  1 S 1.49
O18 0.7451 0.1624 0.1012  1 S 1.47
O19 0.8021 0.8384 0.6585  1 S 1.49
O20 0.8059 0.5141 0.7332  1 S 1.45
O21 0.8242 0.5351 0.0516  1 S 1.42
O22 0.8566 0.8463 0.9721  1 S 1.57
O23 0.8667 0.1403 0.6452  1 S 1.49
O24 0.9442 0.6950 0.4314  1 S 1.50

Summary:
The final energy is -6.43 eV per atom. The energy above the most stable polymorph in this dataset is 0.064 eV per atom. The space group is P1, No. 1. Its energy with MP2020 corrections is -240.95 eV/cell. The value obtained for the formation energy is -66.82 eV/f.u.



Material: Mn3OF5
Method: DFT, PBE+U
State: relaxed

abc: 9.8477 4.8493 4.8663
angles: 90.00 90.00 90.00
Last column: nearest neighbours and their distance in Å.
Atoms (fractional coordinates):
Mn1 0.0000 0.2230 0.0000  1 O 1.98, 5 F 2.12-2.18
Mn2 0.1584 0.7543 0.4631  1 O 1.98, 5 F 2.10-2.20
Mn3 0.3416 0.2457 0.9631  1 O 1.98, 5 F 2.10-2.20
Mn4 0.5000 0.7770 0.5000  1 O 1.98, 5 F 2.12-2.18
Mn5 0.6584 0.2457 0.9631  1 O 1.98, 5 F 2.10-2.20
Mn6 0.8416 0.7543 0.4631  1 O 1.98, 5 F 2.10-2.20
O1 0.0000 0.9304 0.2839  3 Mn 1.98
O2 0.5000 0.0696 0.7839  3 Mn 1.98
F1 0.0000 0.5283 0.6891  3 Mn 2.12-2.20
F2 0.1676 0.0451 0.7826  3 Mn 2.10-2.16
F3 0.1764 0.4354 0.1689  3 Mn 2.11-2.18
F4 0.3236 0.5646 0.6689  3 Mn 2.11-2.18
F5 0.3324 0.9549 0.2826  3 Mn 2.10-2.16
F6 0.5000 0.4717 0.1891  3 Mn 2.12-2.20
F7 0.6676 0.9549 0.2826  3 Mn 2.10-2.16
F8 0.6764 0.5646 0.6689  3 Mn 2.11-2.18
F9 0.8236 0.4354 0.1689  3 Mn 2.11-2.18
F10 0.8324 0.0451 0.7826  3 Mn 2.10-2.16

Summary:
The final energy is -6.49 eV per atom. The energy above the most stable polymorph in this dataset is 0.036 eV per atom. The space group is Pmn2_1, No. 31. Its energy with MP2020 corrections is -132.80 eV/cell. The value obtained for the formation energy is -24.40 eV/f.u.



Material: MgV4O8
Method: DFT, PBE+U
State: relaxed

abc: 7.3863 7.3863 9.5069
angles: 129.38 129.38 23.52
Last column: nearest neighbours and their distance in Å.
Atoms (fractional coordinates):
Mg1 0.0000 0.0000 0.0000  5 O 2.05-2.11
V1 0.1867 0.1867 0.9968  4 O 1.80-1.99
V2 0.4893 0.4893 0.6320  6 O 1.91-2.10
V3 0.7030 0.7030 0.3663  3 O 1.80-1.95
V4 0.9784 0.9784 0.2881  6 O 1.97-2.17
O1 0.1156 0.1156 0.7564  1 V 1.80
O2 0.1612 0.1612 0.4452  3 V 1.95-2.03
O3 0.1870 0.1870 0.2067  3 V 1.99-2.04, 1 Mg 2.07
O4 0.4730 0.4730 0.4160  3 V 1.91-1.97
O5 0.4953 0.4953 0.1415  2 Mg 2.05, 3 V 2.17-2.30
O6 0.5449 0.5449 0.8978  3 V 2.10-2.20, 2 Mg 2.11
O7 0.7939 0.7939 0.0835  3 V 1.92-2.04
O8 0.8653 0.8653 0.5456  1 V 1.80

Summary:
The final energy is -7.55 eV per atom. The energy above the most stable polymorph in this dataset is 0.014 eV per atom. The space group is Cm, No. 8. Its energy with MP2020 corrections is -110.39 eV/cell. The value obtained for the formation energy is -32.87 eV/f.u.